First-principles (PBE+U) data for a relaxed SrMo2As2O12 crystal, as listed in the Materials Project database.

Computed properties:
Volume: 14.76 A^3/atom
Energy of formation: -2.0529 eV/atom
Space group: P2_1/c
Spin magnetization: 0.0000 μB/atom
Crystal system: monoclinic

Geometry as extended XYZ:
```
34
Lattice="-5.273 -2.724 -3.777 1.757 -6.138 1.973 -6.417 0.612 8.518" Properties=species:S:1:pos:R:3 pbc="T T T"
O -4.206 -2.266 3.389
O -5.122 -6.698 0.802
Mo -3.723 -5.898 2.276
Sr -1.758 -4.431 -0.902
O -3.040 -5.019 3.624
As -4.745 -7.072 -0.832
O -2.691 -2.420 0.874
O -0.700 -3.591 1.993
O -7.242 -5.829 5.841
O -10.242 -2.194 3.971
O -5.278 -3.992 5.271
O -3.196 -6.640 -1.419
O -4.655 -4.257 1.444
O -6.737 -1.609 8.134
O -6.883 -4.001 -0.520
O -6.893 -3.230 3.091
As -5.756 -5.631 5.001
O -3.050 -4.248 7.235
O -4.577 -6.615 5.801
O -5.727 -5.983 3.326
O -4.461 -3.937 -1.724
O -4.811 -1.551 5.913
Sr -2.330 -2.763 5.246
O -2.408 -5.880 1.137
As -4.177 -2.618 1.714
As -5.188 -1.177 7.547
Mo -0.868 -1.554 1.708
O -5.472 -4.312 8.439
Mo -9.065 -6.695 5.007
Mo -6.210 -2.351 4.439
O 0.309 -6.055 2.744
O -7.525 -2.369 5.578
O -9.233 -4.658 4.722
O -5.356 -1.634 0.914
```

First-principles (PBE+U) data for a relaxed PrCo2O6 crystal, as listed in the Materials Project database.

Computed properties:
Volume: 12.05 A^3/atom
Energy of formation: -1.5847 eV/atom
Space group: Pmn2_1
Spin magnetization: 0.7727 μB/atom
Crystal system: orthorhombic

Geometry as extended XYZ:
```
18
Lattice="5.305 0.000 0.000 0.000 5.387 0.000 0.000 0.000 7.593" Properties=species:S:1:pos:R:3 pbc="T T T"
O 3.950 0.207 2.110
Co 2.691 4.081 1.918
Pr 2.700 1.518 3.797
Co 0.039 1.306 5.715
O 2.924 4.063 0.000
O 1.297 5.180 5.906
O 2.318 3.999 3.797
Co 2.691 4.081 5.675
O 1.351 2.493 1.703
O 1.297 5.180 1.687
O 0.271 1.324 3.797
O 4.970 1.388 0.000
O 4.004 2.894 5.499
O 3.950 0.207 5.483
O 4.004 2.894 2.094
O 1.351 2.493 5.890
Pr 0.048 3.869 0.000
Co 0.039 1.306 1.878
```

First-principles (PBE+U) data for a relaxed Na2MoO6 crystal, as listed in the Materials Project database.

Computed properties:
Volume: 16.14 A^3/atom
Energy of formation: -1.2177 eV/atom
Space group: Pbca
Spin magnetization: 0.4444 μB/atom
Crystal system: orthorhombic
Energy above the lowest structure with this stoichiometry: 172 meV per atom

Geometry as extended XYZ:
```
72
Lattice="-1.781 5.122 6.484 -8.202 3.792 -5.248 -7.668 -9.316 5.253" Properties=species:S:1:pos:R:3 pbc="T T T"
O -5.510 -0.296 6.257
Na -7.554 2.456 4.314
O -9.952 -2.997 4.639
Na -9.468 3.281 -2.502
O -7.361 2.392 6.660
O -10.716 2.143 1.321
Na -1.811 2.647 4.718
O -6.934 -2.546 5.169
O -10.956 -0.574 7.959
O -13.326 -3.193 -0.633
Mo -11.107 3.320 5.166
Na -11.634 4.292 1.614
O -9.349 -5.422 7.929
Mo -15.739 -0.969 7.282
Mo -6.173 -0.970 4.760
O -8.077 -5.957 4.774
O -3.538 1.217 -1.229
O -14.330 -0.770 2.687
O -5.451 -4.329 2.627
O -12.141 -0.106 0.232
O -7.698 2.595 1.850
Na -7.925 -0.278 1.756
Mo -1.911 0.566 -0.792
Na -5.387 1.445 0.198
Mo -11.477 0.567 1.729
Na -6.016 -4.694 4.875
O -10.114 -2.766 9.979
O -11.757 -3.839 7.339
O -12.200 3.926 3.862
O -12.329 -3.626 2.701
O -8.553 -0.366 -0.459
O -10.289 -2.795 -0.171
O -10.214 -0.527 2.416
O -5.894 3.436 -0.850
O -14.112 -1.620 7.718
Na -3.514 -3.064 3.253
Na -6.221 5.433 3.221
O -7.804 -2.679 2.000
O -9.097 -0.036 6.948
O -7.849 -2.038 7.250
O -3.321 0.367 3.802
O -5.322 3.224 3.788
O -1.557 0.863 0.917
Na -8.183 -3.684 8.991
O -8.302 5.019 -1.440
O -9.574 5.554 1.715
O -7.381 4.700 1.370
Na -12.263 -1.848 6.291
O -10.269 -5.103 5.119
O -9.801 1.636 -0.761
O -7.537 2.363 -3.489
O -7.436 0.124 4.073
O -4.825 -1.189 3.523
O -12.825 0.787 2.966
O -5.549 -0.695 1.312
Mo -6.844 4.856 -0.386
Na -10.096 -2.858 2.175
Na -14.136 2.662 3.236
Mo -6.544 -3.722 1.323
Na -9.726 -0.124 4.734
O -13.469 -3.015 4.639
O -12.101 0.293 5.177
O -4.182 2.612 1.850
O -9.846 2.276 4.489
O -4.324 2.790 7.122
Mo -10.806 -5.259 6.875
O -13.997 -4.280 1.137
O -6.694 0.172 -1.469
Na -15.839 -3.050 1.771
Na -11.429 -5.836 3.268
O -16.093 -1.266 5.572
O -3.653 3.877 5.352
```

First-principles (PBE+U) data for a relaxed Na3Li3Fe2P2C2O14 crystal, as listed in the Materials Project database.

Computed properties:
Volume: 11.50 A^3/atom
Energy of formation: -2.3060 eV/atom
Space group: P1
Spin magnetization: 0.0000 μB/atom
Crystal system: triclinic
Energy above the lowest structure with this stoichiometry: 1 meV per atom

Geometry as extended XYZ:
```
52
Lattice="0.742 -6.562 -1.202 -1.339 -2.064 9.922 -8.654 -0.535 -0.965" Properties=species:S:1:pos:R:3 pbc="T T T"
Li -2.353 -3.357 0.267
O -3.845 -2.373 1.272
Li -7.979 -6.772 4.394
Fe -6.296 -3.215 5.128
O -7.503 -2.293 -0.929
C -0.259 -5.795 2.667
O -3.131 -3.814 3.260
Na -1.743 -3.576 8.340
O -1.841 -6.519 6.742
O -3.888 -2.383 8.480
P -4.726 -5.523 -0.033
O -3.255 -5.183 -0.416
O -6.353 -5.344 4.737
Na -2.253 -7.904 4.788
P -3.927 -2.545 2.834
O -8.277 -3.598 6.240
O -4.753 -5.993 1.458
O -8.183 -3.328 4.029
O -8.333 -7.347 6.308
O -0.621 -6.092 3.876
Fe -5.618 -2.182 0.177
P -4.599 -3.579 7.794
O -3.924 -6.217 4.543
O -1.526 -3.188 5.981
O -6.012 -7.669 4.024
P -5.395 -6.555 4.925
Li -6.707 -8.625 6.854
Li -3.027 -4.389 5.229
C -8.221 -2.521 0.133
Na -1.578 -6.866 -0.177
Na -1.074 -2.543 3.374
O -3.216 -1.352 3.524
Na -6.585 -4.481 2.374
O -3.800 -4.847 8.222
O -5.419 -2.648 3.229
Fe -3.029 -5.859 2.638
O -4.522 -3.411 6.232
O -5.686 -4.313 -0.214
Fe -3.698 -6.891 7.601
C -0.929 -6.827 7.629
O -7.663 -6.316 1.345
O -1.292 -7.124 8.838
O -5.425 -7.020 6.417
Na -7.255 -5.513 7.345
O -1.171 -5.484 1.780
C -8.896 -3.558 5.094
O -6.089 -3.683 8.197
O -7.607 -2.561 1.281
O -5.342 -6.634 -0.936
Li -7.306 -5.742 -0.568
Li -6.041 -7.591 1.885
O -0.850 -2.151 1.014
```